1.
The following is a DFT calculation (GGA+U) of a relaxed MgMnVP2O8F2 crystal.

The energy relative to the elements comes out at -2.80 eV/atom. As for the volume: 12.4 A^3/atom. Its space-group type is P-1.

Unit cell a=5.449 b=5.275 c=7.364 alpha=108.72 beta=110.96 gamma=89.95
Sites, in units of the cell vectors:
O 0.286 0.814 0.593
F 0.108 0.333 0.249
Mg 0.000 0.500 0.500
O 0.695 0.685 0.360
F 0.892 0.667 0.751
O 0.672 0.154 0.876
O 0.714 0.186 0.407
V 0.000 0.000 0.000
O 0.200 0.147 0.887
O 0.328 0.846 0.124
Mn 0.500 0.500 0.500
P 0.372 0.106 0.749
O 0.305 0.315 0.640
O 0.800 0.853 0.113
P 0.628 0.894 0.251

***

2.
The following is a DFT calculation (GGA+U) of a relaxed Li8NiO5F crystal.

The energy relative to the elements comes out at -2.03 eV/atom. As for the volume: 9.5 A^3/atom. Its space-group type is P6_3.

Unit cell a=5.514 b=5.514 c=10.851 alpha=90.00 beta=90.00 gamma=120.00
Sites, in units of the cell vectors:
Ni 0.000 0.000 0.489
O 0.320 0.322 0.948
Li 0.362 0.381 0.121
O 0.322 0.002 0.448
Li 0.981 0.362 0.621
Li 0.667 0.333 0.915
Li 0.688 0.711 0.272
F 0.333 0.667 0.708
Li 0.333 0.667 0.415
O 0.000 0.000 0.171
F 0.667 0.333 0.208
Li 0.312 0.289 0.772
O 0.667 0.333 0.713
O 0.000 0.000 0.671
O 0.998 0.320 0.448
O 0.002 0.680 0.948
Li 0.638 0.619 0.621
Li 0.667 0.333 0.426
Li 0.024 0.312 0.272
Li 0.381 0.019 0.621
O 0.678 0.998 0.948
Ni 0.000 0.000 0.989
Li 0.976 0.688 0.772
Li 0.333 0.667 0.926
Li 0.711 0.024 0.772
O 0.333 0.667 0.213
Li 0.289 0.976 0.272
O 0.680 0.678 0.448
Li 0.019 0.638 0.121
Li 0.619 0.981 0.121

***

3.
The following is a DFT calculation (GGA+U) of a relaxed Sr6MgW4O18 crystal.

The energy relative to the elements comes out at -2.66 eV/atom. As for the volume: 14.3 A^3/atom. Its space-group type is R-3.

Unit cell a=7.508 b=7.508 c=7.508 alpha=82.74 beta=82.74 gamma=82.74
Sites, in units of the cell vectors:
O 0.737 0.575 0.887
Sr 0.248 0.920 0.578
O 0.887 0.737 0.575
O 0.575 0.887 0.737
Sr 0.422 0.752 0.080
O 0.413 0.575 0.751
O 0.113 0.263 0.425
O 0.587 0.425 0.249
O 0.060 0.737 0.912
O 0.912 0.060 0.737
Sr 0.752 0.080 0.422
O 0.249 0.587 0.425
O 0.751 0.413 0.575
Sr 0.080 0.422 0.752
W 0.631 0.631 0.631
O 0.263 0.088 0.940
O 0.940 0.263 0.088
W 0.369 0.369 0.369
W 0.825 0.825 0.825
O 0.088 0.940 0.263
O 0.263 0.425 0.113
O 0.425 0.249 0.587
Sr 0.920 0.578 0.248
O 0.737 0.912 0.060
Sr 0.578 0.248 0.920
W 0.175 0.175 0.175
O 0.575 0.751 0.413
O 0.425 0.113 0.263
Mg 0.000 0.000 0.000

***

4.
The following is a DFT calculation (GGA+U) of a relaxed Li3Fe4O3F5 crystal.

The energy relative to the elements comes out at -1.51 eV/atom. As for the volume: 10.8 A^3/atom. Its space-group type is P1.

Unit cell a=6.002 b=6.121 c=6.123 alpha=119.94 beta=90.28 gamma=118.65
Sites, in units of the cell vectors:
F 0.746 0.545 0.719
Fe 0.001 0.001 0.000
Fe 0.483 0.533 0.986
O 0.231 0.994 0.231
F 0.249 0.553 0.721
Fe 0.490 0.482 0.509
O 0.768 0.006 0.768
Li 0.503 0.005 0.500
F 0.749 0.451 0.273
Li 0.008 0.512 0.996
F 0.249 0.460 0.272
Li 0.004 0.997 0.506
O 0.230 0.994 0.734
F 0.769 0.008 0.264
Fe 0.022 0.460 0.523

***

5.
The following is a DFT calculation (GGA+U) of a relaxed Ba2CuWO6 crystal.

The energy relative to the elements comes out at -2.44 eV/atom. As for the volume: 14.1 A^3/atom. Its space-group type is I4/mmm.

Unit cell a=5.628 b=5.981 c=5.628 alpha=61.94 beta=90.00 gamma=118.06
Sites, in units of the cell vectors:
O 0.282 0.564 0.718
Cu 0.000 0.000 0.000
O 0.747 0.000 0.747
O 0.747 0.000 0.253
W 0.500 0.000 0.500
O 0.253 0.000 0.747
Ba 0.250 0.500 0.250
O 0.253 0.000 0.253
Ba 0.750 0.500 0.750
O 0.718 0.436 0.282

***

6.
The following is a DFT calculation (GGA+U) of a relaxed LiNiP4O12 crystal.

The energy relative to the elements comes out at -2.35 eV/atom. As for the volume: 12.9 A^3/atom. Its space-group type is C2/c.

Unit cell a=8.913 b=8.913 c=9.557 alpha=58.16 beta=58.16 gamma=48.88
Sites, in units of the cell vectors:
O 0.470 0.224 0.730
P 0.026 0.696 0.176
P 0.294 0.426 0.636
O 0.615 0.522 0.555
P 0.706 0.574 0.364
O 0.749 0.022 0.501
O 0.172 0.600 0.713
O 0.835 0.029 0.718
O 0.522 0.615 0.055
O 0.776 0.530 0.770
P 0.974 0.304 0.824
P 0.574 0.706 0.864
O 0.841 0.661 0.321
O 0.978 0.251 0.999
P 0.426 0.294 0.136
Li 0.298 0.702 0.250
O 0.022 0.749 0.001
O 0.339 0.159 0.179
O 0.400 0.828 0.787
O 0.661 0.841 0.821
P 0.696 0.026 0.676
Ni 0.123 0.877 0.750
P 0.304 0.974 0.324
O 0.971 0.165 0.782
O 0.224 0.470 0.230
O 0.165 0.971 0.282
O 0.251 0.978 0.499
O 0.159 0.339 0.679
O 0.530 0.776 0.270
O 0.029 0.835 0.218
O 0.385 0.478 0.445
Li 0.702 0.298 0.750
O 0.828 0.400 0.287
O 0.600 0.172 0.213
O 0.478 0.385 0.945
Ni 0.877 0.123 0.250

***

7.
The following is a DFT calculation (GGA+U) of a relaxed BaMo4O8 crystal.

The energy relative to the elements comes out at -1.58 eV/atom. As for the volume: 18.3 A^3/atom. Its space-group type is P-31m.

Unit cell a=5.909 b=5.909 c=7.886 alpha=90.00 beta=90.00 gamma=120.00
Sites, in units of the cell vectors:
Mo 0.333 0.667 0.746
Mo 0.667 0.333 0.254
Ba 0.000 0.000 0.000
O 0.000 0.337 0.293
O 0.000 0.663 0.707
O 0.663 0.000 0.707
Mo 0.333 0.667 0.254
O 0.663 0.663 0.293
O 0.337 0.000 0.293
Mo 0.667 0.333 0.746
O 0.667 0.333 0.000
O 0.333 0.667 0.000
O 0.337 0.337 0.707

***

8.
The following is a DFT calculation (GGA+U) of a relaxed Rb2W2O5 crystal.

The energy relative to the elements comes out at -1.68 eV/atom. As for the volume: 16.5 A^3/atom. Its space-group type is Ima2.

Unit cell a=9.248 b=9.248 c=9.248 alpha=142.04 beta=141.97 gamma=54.82
Sites, in units of the cell vectors:
O 0.743 0.252 0.006
O 0.580 0.412 0.492
O 0.884 0.876 0.029
Rb 0.906 0.387 0.516
O 0.653 0.645 0.029
W 0.000 0.012 0.012
O 0.257 0.263 0.508
O 0.420 0.912 0.832
Rb 0.094 0.610 0.480
O 0.254 0.763 0.006
Rb 0.629 0.110 0.516
O 0.116 0.145 0.992
O 0.746 0.752 0.508
W 0.500 0.512 0.012
W 0.313 0.208 0.021
O 0.347 0.376 0.992
Rb 0.371 0.887 0.480
W 0.687 0.708 0.895

***

9.
The following is a DFT calculation (GGA+U) of a relaxed CrNiP2O9 crystal.

The energy relative to the elements comes out at -2.03 eV/atom. As for the volume: 13.1 A^3/atom. Its space-group type is Pnma.

Unit cell a=6.313 b=7.859 c=13.721 alpha=90.00 beta=90.00 gamma=90.00
Sites, in units of the cell vectors:
O 0.250 0.273 0.243
O 0.750 0.025 0.775
O 0.446 0.866 0.875
O 0.250 0.977 0.023
O 0.250 0.164 0.555
O 0.250 0.227 0.743
O 0.250 0.523 0.523
O 0.750 0.340 0.019
O 0.750 0.023 0.977
P 0.250 0.110 0.309
O 0.750 0.475 0.275
O 0.951 0.601 0.129
O 0.250 0.336 0.055
O 0.554 0.366 0.625
O 0.054 0.866 0.875
O 0.250 0.840 0.481
O 0.049 0.101 0.371
O 0.750 0.160 0.519
O 0.750 0.773 0.257
O 0.951 0.899 0.629
Ni 0.000 0.500 0.000
P 0.250 0.845 0.940
Cr 0.250 0.148 0.117
O 0.750 0.727 0.757
Cr 0.750 0.852 0.883
O 0.250 0.525 0.725
Cr 0.750 0.648 0.383
P 0.750 0.610 0.191
O 0.549 0.899 0.629
Cr 0.250 0.352 0.617
Ni 0.000 0.000 0.500
O 0.451 0.399 0.871
O 0.049 0.399 0.871
O 0.946 0.366 0.625
O 0.946 0.134 0.125
O 0.250 0.975 0.225
P 0.750 0.890 0.691
O 0.549 0.601 0.129
O 0.750 0.664 0.945
O 0.446 0.634 0.375
O 0.451 0.101 0.371
Ni 0.500 0.000 0.500
P 0.750 0.155 0.060
O 0.750 0.477 0.477
O 0.554 0.134 0.125
P 0.250 0.390 0.809
P 0.250 0.655 0.440
P 0.750 0.345 0.560
O 0.250 0.660 0.981
Ni 0.500 0.500 0.000
O 0.054 0.634 0.375
O 0.750 0.836 0.445

***

10.
The following is a DFT calculation (GGA+U) of a relaxed Sc2MnNiO6 crystal.

The energy relative to the elements comes out at -2.76 eV/atom. As for the volume: 10.2 A^3/atom. Its space-group type is P2_1/c.

Unit cell a=5.053 b=5.388 c=7.501 alpha=90.00 beta=90.79 gamma=90.00
Sites, in units of the cell vectors:
O 0.305 0.684 0.934
O 0.195 0.184 0.566
Mn 0.500 0.000 0.500
O 0.805 0.816 0.434
Ni 0.000 0.500 0.500
O 0.323 0.702 0.578
Sc 0.028 0.927 0.746
O 0.641 0.062 0.739
Sc 0.528 0.573 0.246
Sc 0.472 0.427 0.754
O 0.177 0.202 0.922
O 0.141 0.438 0.239
Mn 0.000 0.500 0.000
O 0.859 0.562 0.761
Ni 0.500 0.000 0.000
O 0.677 0.298 0.422
O 0.695 0.316 0.066
O 0.359 0.938 0.261
Sc 0.972 0.073 0.254
O 0.823 0.798 0.078

***

11.
The following is a DFT calculation (GGA+U) of a relaxed Hg2W2O7 crystal.

The energy relative to the elements comes out at -1.71 eV/atom. As for the volume: 15.9 A^3/atom. Its space-group type is P-1.

Unit cell a=7.284 b=7.410 c=8.455 alpha=63.55 beta=65.06 gamma=62.70
Sites, in units of the cell vectors:
O 0.103 0.116 0.051
O 0.026 0.453 0.154
O 0.403 0.395 0.857
Hg 0.627 0.824 0.379
Hg 0.175 0.321 0.374
O 0.897 0.884 0.949
W 0.835 0.353 0.125
Hg 0.373 0.176 0.621
O 0.597 0.605 0.143
O 0.465 0.002 0.162
O 0.180 0.755 0.345
O 0.820 0.245 0.655
O 0.711 0.282 0.008
O 0.535 0.998 0.838
Hg 0.825 0.679 0.626
W 0.326 0.859 0.118
W 0.165 0.647 0.875
O 0.238 0.811 0.646
W 0.674 0.141 0.882
O 0.974 0.547 0.846
O 0.762 0.189 0.354
O 0.289 0.718 0.992

***

12.
The following is a DFT calculation (GGA+U) of a relaxed Y2Cr2O7 crystal.

The energy relative to the elements comes out at -2.94 eV/atom. As for the volume: 11.7 A^3/atom. Its space-group type is P-1.

Unit cell a=7.114 b=7.118 c=7.145 alpha=60.11 beta=60.23 gamma=60.02
Sites, in units of the cell vectors:
Y 0.500 0.500 0.500
O 0.674 0.071 0.086
O 0.665 0.677 0.077
O 0.334 0.323 0.923
O 0.375 0.376 0.373
O 0.327 0.918 0.333
Y 0.500 0.000 0.500
O 0.082 0.672 0.076
Y 0.500 0.500 0.000
O 0.082 0.665 0.678
O 0.918 0.335 0.322
O 0.625 0.624 0.627
Y 0.000 0.500 0.500
O 0.326 0.929 0.914
Cr 0.000 0.500 0.000
O 0.918 0.328 0.924
Cr 0.000 0.000 0.000
O 0.074 0.087 0.666
O 0.673 0.082 0.667
Cr 0.000 0.000 0.500
Cr 0.500 0.000 0.000
O 0.926 0.913 0.334

***

- Look up the energy relative to the elements of the fourth one.
  -1.51 eV/atom